Te3As2: relaxed, r²SCAN.

```
10
Lattice="7.502 -2.018 0.000 7.502 2.018 0.000 -0.761 0.000 10.126" Properties=species:S:1:pos:R:3 pbc="T T T"
Te 0.387 0.000 2.920
Te 2.824 0.000 6.751
Te 5.505 0.000 0.285
Te 8.737 0.000 9.841
Te 11.418 0.000 3.375
Te 13.855 0.000 7.206
As 3.002 0.000 1.432
As 5.253 0.000 5.724
As 8.990 0.000 4.402
As 11.241 0.000 8.695
```

Calculated values
- energy relative to the elements (eV/atom) = 0.00
- ρ (Mg/m³) = 5.77
- VASP energy (eV/cell) = -211.3
- energy above the most stable polymorph in this dataset (meV/atom) = 0


ThTeAs: relaxed, r²SCAN.

```
6
Lattice="4.321 0.000 0.000 0.000 4.321 0.000 0.000 0.000 8.902" Properties=species:S:1:pos:R:3 pbc="T T T"
Th 1.080 1.080 2.140
Th 3.241 3.241 6.762
Te 1.080 1.080 5.596
Te 3.241 3.241 3.307
As 1.080 3.241 0.000
As 3.241 1.080 0.000
```

Calculated values
- energy relative to the elements (eV/atom) = -1.36
- ρ (Mg/m³) = 8.68
- VASP energy (eV/cell) = -235.3


TiTeAs: relaxed, r²SCAN.

```
6
Lattice="-1.797 2.636 6.432 1.797 -2.636 6.432 1.797 2.636 -6.432" Properties=species:S:1:pos:R:3 pbc="T T T"
Ti 0.000 0.000 1.512
Ti 0.000 0.000 11.352
Te 1.797 0.000 3.721
Te 0.000 2.636 2.711
As 1.797 1.339 0.000
As 0.000 1.297 6.432
```

Calculated values
- energy relative to the elements (eV/atom) = -0.75
- ρ (Mg/m³) = 6.82
- VASP energy (eV/cell) = -110.6


Th3As4: relaxed, r²SCAN.

```
14
Lattice="-4.452 4.452 4.452 4.452 -4.452 4.452 4.452 4.452 -4.452" Properties=species:S:1:pos:R:3 pbc="T T T"
Th 4.452 -2.226 3.339
Th 3.339 4.452 -2.226
Th 4.452 2.226 1.113
Th 2.226 1.113 4.452
Th 1.113 4.452 2.226
Th -2.226 3.339 4.452
As 2.921 1.531 -1.531
As 5.147 -0.695 0.695
As 1.531 -1.531 2.921
As 1.531 1.531 1.531
As -1.531 2.921 1.531
As 0.695 5.147 -0.695
As -0.695 0.695 5.147
As 3.757 3.757 3.757
```

Calculated values
- energy relative to the elements (eV/atom) = -1.56
- ρ (Mg/m³) = 9.37
- VASP energy (eV/cell) = -580.3


ThAs: relaxed, r²SCAN.

```
2
Lattice="0.000 3.007 3.007 3.007 0.000 3.007 3.007 3.007 0.000" Properties=species:S:1:pos:R:3 pbc="T T T"
Th 0.000 0.000 0.000
As 3.007 3.007 3.007
```

Calculated values
- energy relative to the elements (eV/atom) = -1.61
- ρ (Mg/m³) = 9.37
- VASP energy (eV/cell) = -91.4


TiAs: relaxed, r²SCAN.

```
4
Lattice="3.680 0.000 0.000 -1.840 3.187 0.000 0.000 0.000 6.024" Properties=species:S:1:pos:R:3 pbc="T T T"
Ti 0.000 0.000 0.000
Ti 0.000 0.000 3.012
As 0.000 2.125 1.506
As 1.840 1.062 4.518
```

Calculated values
- energy relative to the elements (eV/atom) = -1.04
- ρ (Mg/m³) = 5.77
- VASP energy (eV/cell) = -59.5


Ti3As: relaxed, r²SCAN.

```
32
Lattice="10.140 0.000 0.000 0.000 10.140 0.000 0.000 0.000 5.099" Properties=species:S:1:pos:R:3 pbc="T T T"
Ti 0.349 5.756 1.249
Ti 0.685 9.791 3.798
Ti 1.084 2.253 0.189
Ti 1.475 6.778 3.641
Ti 1.708 8.666 1.092
Ti 2.253 3.986 2.361
Ti 2.817 1.084 2.361
Ti 3.362 6.545 1.092
Ti 3.596 8.432 3.641
Ti 3.986 2.817 0.189
Ti 4.385 5.419 3.798
Ti 4.721 9.455 1.249
Ti 5.419 0.685 3.851
Ti 5.756 4.721 1.301
Ti 6.155 7.323 4.910
Ti 6.545 1.708 1.458
Ti 6.778 3.596 4.008
Ti 7.323 9.056 2.738
Ti 7.887 6.155 2.738
Ti 8.432 1.475 4.008
Ti 8.666 3.362 1.458
Ti 9.056 7.887 4.910
Ti 9.455 0.349 1.301
Ti 9.791 4.385 3.851
As 0.450 2.119 2.746
As 2.119 4.620 4.903
As 2.951 0.450 4.903
As 4.620 2.951 2.746
As 5.520 7.189 2.353
As 7.189 9.690 0.196
As 8.021 5.520 0.196
As 9.690 8.021 2.353
```

Calculated values
- energy relative to the elements (eV/atom) = -0.73
- ρ (Mg/m³) = 5.54
- VASP energy (eV/cell) = -451.4


Ti4As3: relaxed, r²SCAN.

```
14
Lattice="-3.834 3.834 3.834 3.834 -3.834 3.834 3.834 3.834 -3.834" Properties=species:S:1:pos:R:3 pbc="T T T"
Ti 3.261 0.574 -0.574
Ti 5.178 -1.344 1.344
Ti 0.574 0.574 0.574
Ti 0.574 -0.574 3.261
Ti -0.574 3.261 0.574
Ti 1.344 5.178 -1.344
Ti 2.491 2.491 2.491
Ti -1.344 1.344 5.178
As 5.752 0.959 0.000
As 2.876 0.000 1.917
As 1.917 2.876 0.000
As 0.000 1.917 2.876
As 0.959 0.000 5.752
As 0.000 5.752 0.959
```

Calculated values
- energy relative to the elements (eV/atom) = -0.98
- ρ (Mg/m³) = 6.13
- VASP energy (eV/cell) = -205.5


TiAs: relaxed, r²SCAN.

```
8
Lattice="3.644 0.000 0.000 -1.822 3.156 0.000 0.000 0.000 12.043" Properties=species:S:1:pos:R:3 pbc="T T T"
Ti 0.000 2.104 1.415
Ti 0.000 2.104 4.607
Ti 1.822 1.052 7.437
Ti 1.822 1.052 10.628
As 0.000 0.000 0.000
As 0.000 0.000 6.022
As 0.000 2.104 9.033
As 1.822 1.052 3.011
```

Calculated values
- energy relative to the elements (eV/atom) = -1.05
- ρ (Mg/m³) = 5.89
- VASP energy (eV/cell) = -119.0


VAs2: relaxed, r²SCAN.

```
6
Lattice="4.520 -1.643 0.000 4.520 1.643 0.000 -3.732 0.000 6.476" Properties=species:S:1:pos:R:3 pbc="T T T"
V 0.672 0.000 1.260
V 4.636 0.000 5.215
As -0.662 0.000 3.463
As 3.263 0.000 0.677
As 2.045 0.000 5.799
As 5.970 0.000 3.012
```

Calculated values
- energy relative to the elements (eV/atom) = -0.43
- ρ (Mg/m³) = 6.93
- VASP energy (eV/cell) = -89.6


VAs: relaxed, r²SCAN.

```
8
Lattice="5.843 0.000 0.000 0.000 3.362 0.000 0.000 0.000 6.188" Properties=species:S:1:pos:R:3 pbc="T T T"
V 0.031 0.840 1.121
V 2.890 2.521 4.215
V 2.953 0.840 1.973
V 5.812 2.521 5.068
As 1.134 0.840 3.571
As 1.788 2.521 0.477
As 4.055 0.840 5.712
As 4.709 2.521 2.617
```

Calculated values
- energy relative to the elements (eV/atom) = -0.57
- ρ (Mg/m³) = 6.88
- VASP energy (eV/cell) = -119.7


V3As: relaxed, r²SCAN.

```
8
Lattice="4.711 0.000 0.000 0.000 4.711 0.000 0.000 0.000 4.711" Properties=species:S:1:pos:R:3 pbc="T T T"
V 0.000 1.178 2.355
V 0.000 3.533 2.355
V 1.178 2.355 0.000
V 2.355 0.000 1.178
V 2.355 0.000 3.533
V 3.533 2.355 0.000
As 0.000 0.000 0.000
As 2.355 2.355 2.355
```

Calculated values
- energy relative to the elements (eV/atom) = -0.51
- ρ (Mg/m³) = 7.23
- VASP energy (eV/cell) = -118.1